(1)
First-principles (PBE) data for a relaxed Cu3Se2Cl2O6 crystal, as listed in the Materials Project database.

Unit cell a=6.1710 b=8.0544 c=8.6790 alpha=91.08 beta=94.86 gamma=91.84
Fractional positions:
Cu (0.6057, 0.8221, 0.9248)
Cu (0.9023, 0.5971, 0.1288)
Cu (0.3943, 0.1779, 0.0752)
Cu (0.6949, 0.4029, 0.4319)
Cu (0.0977, 0.4029, 0.8712)
Cu (0.3051, 0.5971, 0.5681)
Se (0.1009, 0.8184, 0.8212)
Se (0.8991, 0.1816, 0.1788)
Se (0.3809, 0.6976, 0.2242)
Se (0.6191, 0.3024, 0.7758)
Cl (0.9657, 0.2726, 0.5666)
Cl (0.0343, 0.7274, 0.4334)
Cl (0.5875, 0.8754, 0.6752)
Cl (0.4125, 0.1246, 0.3248)
O (0.3134, 0.8828, 0.9556)
O (0.5285, 0.4281, 0.6173)
O (0.2083, 0.5556, 0.1200)
O (0.6866, 0.1172, 0.0444)
O (0.8222, 0.3840, 0.2315)
O (0.0861, 0.2218, 0.0402)
O (0.4715, 0.5719, 0.3827)
O (0.6155, 0.6907, 0.1186)
O (0.7917, 0.4444, 0.8800)
O (0.1778, 0.6160, 0.7685)
O (0.3845, 0.3093, 0.8814)
O (0.9139, 0.7782, 0.9598)

**Symmetry**: P-1, No. 2
**Total magnetic moment**: 1.80 Bohr magnetons per cell


(2)
First-principles (PBE) data for a relaxed Cu9Se4Cl6O14 crystal, as listed in the Materials Project database.

Unit cell a=6.3223 b=8.2891 c=11.9565 alpha=79.82 beta=74.67 gamma=67.58
Fractional positions:
Cu (0.8784, 0.1495, 0.0938)
Cu (0.2891, 0.1565, 0.2653)
Cu (0.3845, 0.4463, 0.7848)
Cu (0.6155, 0.5537, 0.2152)
Cu (0.5000, 0.5000, 0.5000)
Cu (0.1216, 0.8505, 0.9062)
Cu (0.5000, 0.5000, 0.0000)
Cu (0.7109, 0.8435, 0.7347)
Cu (0.0000, 0.5000, 0.0000)
Se (0.9606, 0.2737, 0.8052)
Se (0.0394, 0.7263, 0.1948)
Se (0.2541, 0.8541, 0.6378)
Se (0.7459, 0.1459, 0.3622)
Cl (0.3671, 0.1954, 0.0703)
Cl (0.4487, 0.7413, 0.3612)
Cl (0.6329, 0.8046, 0.9297)
Cl (0.5513, 0.2587, 0.6388)
Cl (0.1639, 0.2251, 0.4470)
Cl (0.8361, 0.7749, 0.5530)
O (0.7586, 0.4037, 0.0791)
O (0.9194, 0.5940, 0.1542)
O (0.3685, 0.6274, 0.6356)
O (0.3324, 0.5940, 0.1542)
O (0.9842, 0.1109, 0.9208)
O (0.3809, 0.8780, 0.7460)
O (0.0049, 0.1220, 0.2540)
O (0.6676, 0.4060, 0.8458)
O (0.0806, 0.4060, 0.8458)
O (0.0158, 0.8891, 0.0792)
O (0.2414, 0.5963, 0.9209)
O (0.6315, 0.3726, 0.3644)
O (0.9951, 0.8780, 0.7460)
O (0.6191, 0.1220, 0.2540)

**Symmetry**: C2/m, No. 12
**Total magnetic moment**: 0.38 Bohr magnetons per cell


(3)
First-principles (PBE) data for a relaxed Cu5Se2Cl2O8 crystal, as listed in the Materials Project database.

Unit cell a=5.6781 b=6.1556 c=13.9109 alpha=90.00 beta=90.00 gamma=95.05
Fractional positions:
Cu (0.5091, 0.7416, 0.0035)
Cu (0.0531, 0.4335, 0.3119)
Cu (0.9469, 0.5665, 0.6881)
Cu (0.5000, 0.5000, 0.5000)
Cu (0.5531, 0.4335, 0.1881)
Cu (0.4469, 0.5665, 0.8119)
Cu (0.0091, 0.7416, 0.4965)
Cu (0.4909, 0.2584, 0.9965)
Cu (0.0000, 0.5000, 0.0000)
Cu (0.9909, 0.2584, 0.5035)
Se (0.5996, 0.9339, 0.6347)
Se (0.9004, 0.0661, 0.1347)
Se (0.0996, 0.9339, 0.8653)
Se (0.4004, 0.0661, 0.3653)
Cl (0.2294, 0.3299, 0.6757)
Cl (0.7294, 0.3299, 0.8243)
Cl (0.7706, 0.6701, 0.3243)
Cl (0.2706, 0.6701, 0.1757)
O (0.4269, 0.7700, 0.5565)
O (0.1819, 0.5052, 0.4410)
O (0.6305, 0.0257, 0.0736)
O (0.6819, 0.5052, 0.0590)
O (0.3141, 0.2493, 0.2777)
O (0.0731, 0.2300, 0.0565)
O (0.5731, 0.2300, 0.4435)
O (0.8181, 0.4948, 0.5590)
O (0.8695, 0.9743, 0.5736)
O (0.1859, 0.7507, 0.7777)
O (0.6859, 0.7507, 0.7223)
O (0.3181, 0.4948, 0.9410)
O (0.8141, 0.2493, 0.2223)
O (0.9269, 0.7700, 0.9435)
O (0.1305, 0.0257, 0.4264)
O (0.3695, 0.9743, 0.9264)

**Symmetry**: P2_1/c, No. 14
**Total magnetic moment**: 6.00 Bohr magnetons per cell


(4)
First-principles (PBE) data for a relaxed CuSeClO5 crystal, as listed in the Materials Project database.

Unit cell a=6.6843 b=8.8083 c=17.8948 alpha=90.00 beta=90.00 gamma=90.00
Fractional positions:
Cu (0.1083, 0.1307, 0.2500)
Cu (0.8917, 0.8693, 0.7500)
Cu (0.6083, 0.3693, 0.7500)
Cu (0.3917, 0.6307, 0.2500)
Cu (0.0000, 0.0000, 0.0000)
Cu (0.5000, 0.5000, 0.0000)
Cu (0.0000, 0.0000, 0.5000)
Cu (0.5000, 0.5000, 0.5000)
Se (0.1508, 0.3113, 0.5627)
Se (0.8492, 0.6888, 0.4373)
Se (0.6508, 0.1888, 0.4373)
Se (0.8492, 0.6888, 0.0627)
Se (0.3492, 0.8112, 0.5627)
Se (0.1508, 0.3113, 0.9373)
Se (0.3492, 0.8112, 0.9373)
Se (0.6508, 0.1888, 0.0627)
Cl (0.0069, 0.0237, 0.6627)
Cl (0.9931, 0.9763, 0.3373)
Cl (0.5069, 0.4763, 0.3373)
Cl (0.9931, 0.9763, 0.1627)
Cl (0.4931, 0.5237, 0.6627)
Cl (0.0069, 0.0237, 0.8373)
Cl (0.4931, 0.5237, 0.8373)
Cl (0.5069, 0.4763, 0.1627)
O (0.3795, 0.0480, 0.2500)
O (0.6205, 0.9520, 0.7500)
O (0.8795, 0.4520, 0.7500)
O (0.1205, 0.5480, 0.2500)
O (0.8194, 0.2568, 0.2500)
O (0.1806, 0.7432, 0.7500)
O (0.3194, 0.2432, 0.7500)
O (0.6806, 0.7568, 0.2500)
O (0.2258, 0.4700, 0.5088)
O (0.7742, 0.5300, 0.4912)
O (0.7258, 0.0300, 0.4912)
O (0.7742, 0.5300, 0.0088)
O (0.2742, 0.9700, 0.5088)
O (0.2258, 0.4700, 0.9912)
O (0.2742, 0.9700, 0.9912)
O (0.7258, 0.0300, 0.0088)
O (0.1017, 0.2961, 0.1878)
O (0.8983, 0.7039, 0.8122)
O (0.6017, 0.2039, 0.8122)
O (0.8983, 0.7039, 0.6878)
O (0.3983, 0.7961, 0.1878)
O (0.1017, 0.2961, 0.3122)
O (0.3983, 0.7961, 0.3122)
O (0.6017, 0.2039, 0.6878)
O (0.0450, 0.2078, 0.0133)
O (0.9550, 0.7922, 0.9867)
O (0.5450, 0.2922, 0.9867)
O (0.9550, 0.7922, 0.5133)
O (0.4550, 0.7078, 0.0133)
O (0.0450, 0.2078, 0.4867)
O (0.4550, 0.7078, 0.4867)
O (0.5450, 0.2922, 0.5133)
O (0.4527, 0.1150, 0.1071)
O (0.5473, 0.8850, 0.8929)
O (0.9527, 0.3850, 0.8929)
O (0.5473, 0.8850, 0.6071)
O (0.0473, 0.6150, 0.1071)
O (0.4527, 0.1150, 0.3929)
O (0.0473, 0.6150, 0.3929)
O (0.9527, 0.3850, 0.6071)

**Symmetry**: Pnma, No. 62
**Total magnetic moment**: 24.00 Bohr magnetons per cell


(5)
First-principles (PBE) data for a relaxed Cu3Se2Cl2O6 crystal, as listed in the Materials Project database.

Unit cell a=5.5041 b=5.5041 c=7.8140 alpha=75.69 beta=75.69 gamma=69.16
Fractional positions:
Cu (0.4313, 0.4313, 0.8218)
Cu (0.0000, 0.0000, 0.0000)
Cu (0.5687, 0.5687, 0.1782)
Se (0.8329, 0.8329, 0.7396)
Se (0.1671, 0.1671, 0.2604)
Cl (0.7079, 0.7079, 0.3681)
Cl (0.2921, 0.2921, 0.6319)
O (0.2686, 0.8881, 0.1494)
O (0.7314, 0.1119, 0.8506)
O (0.6460, 0.6460, 0.8699)
O (0.3540, 0.3540, 0.1301)
O (0.1119, 0.7314, 0.8506)
O (0.8881, 0.2686, 0.1494)

**Symmetry**: C2/m, No. 12
**Total magnetic moment**: 1.00 Bohr magnetons per cell


(6)
First-principles (PBE) data for a relaxed Cu5SeCl5O4 crystal, as listed in the Materials Project database.

Unit cell a=6.3207 b=9.4146 c=9.6613 alpha=91.55 beta=90.00 gamma=90.00
Fractional positions:
Cu (0.2505, 0.1252, 0.9859)
Cu (0.7505, 0.8748, 0.0141)
Cu (0.2518, 0.7166, 0.5041)
Cu (0.7518, 0.2834, 0.4959)
Cu (0.2504, 0.8930, 0.2267)
Cu (0.7504, 0.1070, 0.7733)
Cu (0.5002, 0.0002, 0.5001)
Cu (0.0002, 0.9998, 0.4999)
Cu (0.3851, 0.4087, 0.7917)
Cu (0.8851, 0.5913, 0.2083)
Se (0.7506, 0.7598, 0.6813)
Se (0.2506, 0.2402, 0.3187)
Cl (0.2500, 0.5077, 0.6037)
Cl (0.7500, 0.4923, 0.3963)
Cl (0.2503, 0.8763, 0.9929)
Cl (0.7503, 0.1237, 0.0071)
Cl (0.2512, 0.1219, 0.7527)
Cl (0.7512, 0.8781, 0.2473)
Cl (0.2357, 0.6462, 0.2591)
Cl (0.7357, 0.3538, 0.7409)
Cl (0.2540, 0.3692, 0.9995)
Cl (0.7540, 0.6308, 0.0005)
O (0.2505, 0.9102, 0.4268)
O (0.7505, 0.0898, 0.5732)
O (0.7500, 0.8966, 0.8088)
O (0.2500, 0.1034, 0.1912)
O (0.5357, 0.8133, 0.5820)
O (0.0357, 0.1867, 0.4180)
O (0.4651, 0.1870, 0.4181)
O (0.9651, 0.8130, 0.5819)

**Symmetry**: P2_1, No. 4
**Total magnetic moment**: 4.00 Bohr magnetons per cell


(7)
First-principles (PBE) data for a relaxed Cu7Se2Cl6O8 crystal, as listed in the Materials Project database.

Unit cell a=14.6376 b=10.5853 c=11.1127 alpha=66.32 beta=90.00 gamma=90.00
Fractional positions:
Cu (0.6233, 0.4831, 0.7420)
Cu (0.1233, 0.0169, 0.2580)
Cu (0.3767, 0.5169, 0.2580)
Cu (0.8767, 0.9831, 0.7420)
Cu (0.7129, 0.4789, 0.9997)
Cu (0.2129, 0.0211, 0.0003)
Cu (0.2871, 0.5211, 0.0003)
Cu (0.7871, 0.9789, 0.9997)
Cu (0.8276, 0.3179, 0.8654)
Cu (0.3276, 0.1821, 0.1346)
Cu (0.1724, 0.6821, 0.1346)
Cu (0.6724, 0.8179, 0.8654)
Cu (0.8031, 0.6289, 0.6966)
Cu (0.3031, 0.8711, 0.3034)
Cu (0.1969, 0.3711, 0.3034)
Cu (0.6969, 0.1289, 0.6966)
Cu (0.5626, 0.3210, 0.3462)
Cu (0.0626, 0.1790, 0.6538)
Cu (0.4374, 0.6790, 0.6538)
Cu (0.9374, 0.8210, 0.3462)
Cu (0.5000, 0.5000, 0.5000)
Cu (0.0000, 0.0000, 0.5000)
Cu (0.5630, 0.6491, 0.2102)
Cu (0.0630, 0.8509, 0.7898)
Cu (0.4370, 0.3509, 0.7898)
Cu (0.9370, 0.1491, 0.2102)
Cu (0.5000, 0.0000, 0.5000)
Cu (0.0000, 0.5000, 0.5000)
Se (0.6241, 0.1949, 0.0008)
Se (0.1241, 0.3051, 0.9992)
Se (0.3759, 0.8051, 0.9992)
Se (0.8759, 0.6949, 0.0008)
Se (0.3684, 0.2337, 0.5321)
Se (0.8684, 0.2663, 0.4679)
Se (0.6316, 0.7663, 0.4679)
Se (0.1316, 0.7337, 0.5321)
Cl (0.6757, 0.4797, 0.2140)
Cl (0.1757, 0.0203, 0.7860)
Cl (0.3243, 0.5203, 0.7860)
Cl (0.8243, 0.9797, 0.2140)
Cl (0.8781, 0.3497, 0.0865)
Cl (0.3781, 0.1503, 0.9135)
Cl (0.1219, 0.6503, 0.9135)
Cl (0.6219, 0.8497, 0.0865)
Cl (0.6296, 0.1136, 0.3858)
Cl (0.1296, 0.3864, 0.6142)
Cl (0.3704, 0.8864, 0.6142)
Cl (0.8704, 0.6136, 0.3858)
Cl (0.8418, 0.8421, 0.5677)
Cl (0.3418, 0.6579, 0.4323)
Cl (0.1582, 0.1579, 0.4323)
Cl (0.6582, 0.3421, 0.5677)
Cl (0.9300, 0.4988, 0.7488)
Cl (0.4300, 0.0012, 0.2512)
Cl (0.0700, 0.5012, 0.2512)
Cl (0.5700, 0.9988, 0.7488)
Cl (0.5711, 0.6512, 0.8862)
Cl (0.0711, 0.8488, 0.1138)
Cl (0.4289, 0.3488, 0.1138)
Cl (0.9289, 0.1512, 0.8862)
O (0.4983, 0.4853, 0.3317)
O (0.9983, 0.0147, 0.6683)
O (0.5017, 0.5147, 0.6683)
O (0.0017, 0.9853, 0.3317)
O (0.7405, 0.4681, 0.8278)
O (0.2405, 0.0319, 0.1722)
O (0.2595, 0.5319, 0.1722)
O (0.7595, 0.9681, 0.8278)
O (0.6566, 0.3002, 0.0737)
O (0.1566, 0.1998, 0.9263)
O (0.3434, 0.6998, 0.9263)
O (0.8434, 0.8002, 0.0737)
O (0.7297, 0.1669, 0.9312)
O (0.2297, 0.3331, 0.0688)
O (0.2703, 0.8331, 0.0688)
O (0.7703, 0.6669, 0.9312)
O (0.5714, 0.3078, 0.8545)
O (0.0714, 0.1922, 0.1455)
O (0.4286, 0.6922, 0.1455)
O (0.9286, 0.8078, 0.8545)
O (0.4202, 0.3404, 0.5943)
O (0.9202, 0.1596, 0.4057)
O (0.5798, 0.6596, 0.4057)
O (0.0798, 0.8404, 0.5943)
O (0.4624, 0.1881, 0.4589)
O (0.9624, 0.3119, 0.5411)
O (0.5376, 0.8119, 0.5411)
O (0.0376, 0.6881, 0.4589)
O (0.3196, 0.3539, 0.3867)
O (0.8196, 0.1461, 0.6133)
O (0.6804, 0.6461, 0.6133)
O (0.1804, 0.8539, 0.3867)

**Symmetry**: P2_1/c, No. 14
**Total magnetic moment**: 0.15 Bohr magnetons per cell


(8)
First-principles (PBE) data for a relaxed SrCu2Se2Cl2O6 crystal, as listed in the Materials Project database.

Unit cell a=7.3154 b=7.2584 c=8.1732 alpha=83.95 beta=90.00 gamma=90.00
Fractional positions:
Sr (0.0290, 0.3740, 0.0698)
Sr (0.5290, 0.6260, 0.9302)
Cu (0.0333, 0.8640, 0.9026)
Cu (0.5333, 0.1360, 0.0974)
Cu (0.0143, 0.1973, 0.5897)
Cu (0.5143, 0.8027, 0.4103)
Se (0.6796, 0.3712, 0.3833)
Se (0.1796, 0.6288, 0.6167)
Se (0.3857, 0.1466, 0.7854)
Se (0.8857, 0.8534, 0.2146)
Cl (0.7785, 0.3758, 0.7851)
Cl (0.2785, 0.6242, 0.2149)
Cl (0.3157, 0.0546, 0.3739)
Cl (0.8157, 0.9454, 0.6261)
O (0.1603, 0.0633, 0.7681)
O (0.6603, 0.9367, 0.2319)
O (0.6504, 0.3567, 0.1706)
O (0.1504, 0.6433, 0.8294)
O (0.3647, 0.2929, 0.9464)
O (0.8647, 0.7071, 0.0536)
O (0.7024, 0.6070, 0.3851)
O (0.2024, 0.3930, 0.6149)
O (0.9111, 0.3115, 0.3838)
O (0.4111, 0.6885, 0.6162)
O (0.9686, 0.0312, 0.0736)
O (0.4686, 0.9688, 0.9264)

**Symmetry**: P2_1, No. 4
**Total magnetic moment**: 0.00 Bohr magnetons per cell


(9)
First-principles (PBE) data for a relaxed YCu3Se2ClO8 crystal, as listed in the Materials Project database.

Unit cell a=6.3701 b=7.0637 c=9.5699 alpha=90.00 beta=90.00 gamma=90.00
Fractional positions:
Y (0.0000, 0.7341, 0.0000)
Y (0.5000, 0.2659, 0.5000)
Cu (0.2500, 0.0000, 0.7500)
Cu (0.2500, 0.0000, 0.2500)
Cu (0.7500, 0.0000, 0.7500)
Cu (0.5000, 0.7948, 0.5000)
Cu (0.0000, 0.2052, 0.0000)
Cu (0.7500, 0.0000, 0.2500)
Se (0.5000, 0.5901, 0.8104)
Se (0.0000, 0.4099, 0.6896)
Se (0.5000, 0.5901, 0.1896)
Se (0.0000, 0.4099, 0.3104)
Cl (0.0000, 0.8515, 0.5000)
Cl (0.5000, 0.1485, 0.0000)
O (0.0000, 0.0030, 0.8619)
O (0.0000, 0.4260, 0.8705)
O (0.5000, 0.5740, 0.3705)
O (0.2873, 0.7393, 0.8380)
O (0.2127, 0.2607, 0.3380)
O (0.7873, 0.2607, 0.3380)
O (0.5000, 0.9970, 0.6381)
O (0.7127, 0.7393, 0.8380)
O (0.7127, 0.7393, 0.1620)
O (0.7873, 0.2607, 0.6620)
O (0.0000, 0.0030, 0.1381)
O (0.5000, 0.9970, 0.3619)
O (0.2127, 0.2607, 0.6620)
O (0.2873, 0.7393, 0.1620)
O (0.5000, 0.5740, 0.6295)
O (0.0000, 0.4260, 0.1295)

**Symmetry**: Pmmn, No. 59
**Total magnetic moment**: 6.00 Bohr magnetons per cell


(10)
First-principles (PBE) data for a relaxed Sr2Cu3Cl2O4 crystal, as listed in the Materials Project database.

Unit cell a=7.5550 b=7.5550 c=7.5550 alpha=137.39 beta=137.39 gamma=61.84
Fractional positions:
Sr (0.3611, 0.3611, 0.0000)
Sr (0.6389, 0.6389, 0.0000)
Cu (0.0000, 0.0000, 0.0000)
Cu (0.0000, 0.5000, 0.5000)
Cu (0.5000, 0.0000, 0.5000)
Cl (0.2500, 0.7500, 0.5000)
Cl (0.7500, 0.2500, 0.5000)
O (0.2507, 0.7493, 0.0000)
O (0.7493, 0.2507, 0.0000)
O (0.2507, 0.2507, 0.5014)
O (0.7493, 0.7493, 0.4986)

**Symmetry**: I4/mmm, No. 139
**Total magnetic moment**: 0.85 Bohr magnetons per cell


Number 1: total DFT energy (no corrections) -4.682 eV/atom, density 3.986 Mg/m³, calculated volume 429.51 Å³/cell. Number 2: total DFT energy (no corrections) -4.602 eV/atom, density 3.951 Mg/m³, calculated volume 556.60 Å³/cell. Number 3: total DFT energy (no corrections) -4.795 eV/atom, density 4.625 Mg/m³, calculated volume 484.33 Å³/cell. Number 4: total DFT energy (no corrections) -4.072 eV/atom, density 3.252 Mg/m³, calculated volume 1053.59 Å³/cell. Number 5: total DFT energy (no corrections) -4.693 eV/atom, density 4.056 Mg/m³, calculated volume 211.03 Å³/cell. Number 6: total DFT energy (no corrections) -4.117 eV/atom, density 3.687 Mg/m³, calculated volume 574.71 Å³/cell. Number 7: total DFT energy (no corrections) -4.342 eV/atom, density 3.974 Mg/m³, calculated volume 1576.90 Å³/cell. Number 8: total DFT energy (no corrections) -4.992 eV/atom, density 4.152 Mg/m³, calculated volume 431.56 Å³/cell. Number 9: total DFT energy (no corrections) -5.677 eV/atom, density 4.634 Mg/m³, calculated volume 430.61 Å³/cell. Number 10: total DFT energy (no corrections) -5.085 eV/atom, density 4.257 Mg/m³, calculated volume 195.36 Å³/cell.